Record 1
Li3Mn2O4 | GGA+U | relaxed

Lattice parameters (Å, degrees): 5.9480 5.9480 6.3739 117.60 117.60 90.26
Last column: nearest neighbours and their distance in Å.
Sites, in units of the cell vectors:
Li 0.0000 0.0000 0.0000  2 Li 1.95
Li 0.0000 0.0000 0.5000  2 Li 1.95
Li 0.0000 0.5000 0.5000  2 Li 1.87, 4 O 2.06
Li 0.1340 0.8660 0.7500  4 Li 1.87-1.95, 4 O 1.90
Li 0.5000 0.0000 0.0000  2 Li 1.87, 4 O 2.06
Li 0.8660 0.1340 0.2500  4 Li 1.87-1.95, 4 O 1.90
Mn 0.0000 0.5000 0.0000  4 O 2.14-2.17
Mn 0.5000 0.0000 0.5000  4 O 2.14-2.17
Mn 0.5000 0.5000 0.0000  4 O 1.99-2.00
Mn 0.5000 0.5000 0.5000  4 O 1.99-2.00
O 0.2413 0.2534 0.4707  2 Li 1.90-2.06, 1 Mn 2.00
O 0.2534 0.2413 0.9707  2 Li 1.90-2.06, 1 Mn 2.00
O 0.2604 0.7326 0.5034  2 Li 1.90-2.06, 1 Mn 1.99
O 0.2674 0.7396 0.9966  2 Li 1.90-2.06, 1 Mn 1.99
O 0.7326 0.2604 0.0034  2 Li 1.90-2.06, 1 Mn 1.99
O 0.7396 0.2674 0.4966  2 Li 1.90-2.06, 1 Mn 1.99
O 0.7466 0.7587 0.0293  2 Li 1.90-2.06, 1 Mn 2.00
O 0.7587 0.7466 0.5293  2 Li 1.90-2.06, 1 Mn 2.00

Output
volume: 170.05 Å³ per cell
symmetry: C2/c (15)
energy above the most stable polymorph in this dataset: 0 meV/atom
energy of formation: -1.9043 eV per atom
E: -6.10 eV per atom

---

Record 2
Li2MnO3 | GGA+U | relaxed

Lattice parameters (Å, degrees): 2.8903 5.9369 12.5441 103.47 89.96 90.15
Last column: nearest neighbours and their distance in Å.
Sites, in units of the cell vectors:
O 0.4991 0.9118 0.3214  1 Mn 1.81
O 0.5021 0.2215 0.0044  2 Mn 1.93, 2 Li 2.09-2.13
Li 0.0000 0.6667 0.3333  6 O 2.08-2.09
Li 0.9983 0.4874 0.9889  6 O 2.04-2.23
O 0.9979 0.6118 0.1623  2 Mn 1.93, 2 Li 2.09-2.13
Mn 0.4990 0.8324 0.1732  5 O 1.81-1.99
Mn 0.9991 0.3324 0.6733  5 O 1.81-1.99
O 0.0021 0.7215 0.5044  2 Mn 1.93, 2 Li 2.09-2.13
O 0.0009 0.9215 0.8453  1 Mn 1.81
O 0.9991 0.4118 0.8214  1 Mn 1.81
Li 0.0000 0.1667 0.3333  6 O 2.07-2.11
Li 0.0017 0.8460 0.6777  6 O 2.04-2.23
O 0.5005 0.5544 0.6610  3 Mn 1.99-2.05, 1 Li 2.11
Li 0.5000 0.1667 0.8333  6 O 2.08-2.09
Mn 0.0009 0.0009 0.9934  5 O 1.81-1.99
Mn 0.5009 0.5009 0.4934  5 O 1.81-1.99
O 0.4995 0.7789 0.0056  3 Mn 1.99-2.05, 1 Li 2.11
Li 0.5017 0.3460 0.1777  6 O 2.04-2.23
O 0.5009 0.4215 0.3453  1 Mn 1.81
O 0.4979 0.1119 0.6623  2 Mn 1.93, 2 Li 2.09-2.13
Li 0.4983 0.9874 0.4889  6 O 2.04-2.23
Li 0.5000 0.6667 0.8333  6 O 2.07-2.11
O 0.9995 0.2789 0.5056  3 Mn 1.99-2.05, 1 Li 2.11
O 0.0005 0.0544 0.1611  3 Mn 1.99-2.05, 1 Li 2.11

Output
volume: 209.33 Å³ per cell
energy of formation: -2.1148 eV per atom
E: -6.13 eV per atom

---

Record 3
Li4Mn3O8 | GGA+U | relaxed

Lattice parameters (Å, degrees): 6.0772 6.0772 6.0772 56.46 56.46 56.46
Last column: nearest neighbours and their distance in Å.
Sites, in units of the cell vectors:
Li 0.0000 0.0000 0.0000  6 O 2.04, 2 Li 2.17
Li 0.1420 0.1420 0.1420  4 O 1.91-2.07
Li 0.5000 0.5000 0.5000  6 O 2.17
Li 0.8580 0.8580 0.8580  4 O 1.91-2.07
Mn 0.0000 0.5000 0.5000  6 O 1.93-1.94
Mn 0.5000 0.0000 0.5000  6 O 1.93-1.94
Mn 0.5000 0.5000 0.0000  6 O 1.93-1.94
O 0.2441 0.2441 0.7192  2 Mn 1.93, 2 Li 2.04-2.07
O 0.2441 0.7192 0.2441  2 Mn 1.93, 2 Li 2.04-2.07
O 0.2670 0.2670 0.2670  1 Li 1.91, 3 Mn 1.94
O 0.2808 0.7559 0.7559  2 Mn 1.93, 2 Li 2.04-2.07
O 0.7192 0.2441 0.2441  2 Mn 1.93, 2 Li 2.04-2.07
O 0.7330 0.7330 0.7330  1 Li 1.91, 3 Mn 1.94
O 0.7559 0.2808 0.7559  2 Mn 1.93, 2 Li 2.04-2.07
O 0.7559 0.7559 0.2808  2 Mn 1.93, 2 Li 2.04-2.07

Output
volume: 145.72 Å³ per cell
symmetry: R-3m (166)
energy above the most stable polymorph in this dataset: 12 meV/atom
energy of formation: -2.0827 eV per atom
E: -6.36 eV per atom

---

Record 4
Li4Mn3O7 | GGA+U | relaxed

Lattice parameters (Å, degrees): 6.8866 6.8866 14.7582 114.23 114.23 24.16
Last column: nearest neighbours and their distance in Å.
Sites, in units of the cell vectors:
Li 0.0000 0.0000 0.0000  6 O 2.08-2.21
Li 0.0000 0.0000 0.5000  6 O 2.13-2.18
Li 0.1347 0.1347 0.2090  5 O 1.99-2.22
Li 0.2885 0.2885 0.9306  5 O 2.13-2.21
Li 0.4269 0.4269 0.6430  6 O 2.14-2.18
Li 0.5731 0.5731 0.3570  6 O 2.14-2.18
Li 0.7115 0.7115 0.0694  5 O 2.13-2.21
Li 0.8653 0.8653 0.7910  5 O 1.99-2.22
Mn 0.1406 0.1406 0.7179  5 O 1.97-2.20
Mn 0.2871 0.2871 0.4281  4 O 1.96-1.97
Mn 0.4364 0.4364 0.1370  5 O 1.82-1.97
Mn 0.5636 0.5636 0.8630  5 O 1.82-1.97
Mn 0.7129 0.7129 0.5719  4 O 1.96-1.97
Mn 0.8594 0.8594 0.2821  5 O 1.97-2.20
O 0.0050 0.0050 0.7634  3 Mn 1.97-2.20, 3 Li 2.09-2.18
O 0.1370 0.1370 0.9547  2 Mn 1.94, 2 Li 2.13
O 0.1446 0.1446 0.4744  2 Mn 1.97, 3 Li 2.13-2.15
O 0.2805 0.2805 0.6687  2 Mn 1.96, 1 Li 2.16
O 0.2992 0.2992 0.1819  3 Mn 1.98-2.21, 2 Li 2.14
O 0.4261 0.4261 0.3797  2 Mn 1.97, 3 Li 2.14-2.18
O 0.4428 0.4428 0.8886  1 Mn 1.82, 2 Li 1.99
O 0.5572 0.5572 0.1114  1 Mn 1.82, 2 Li 1.99
O 0.5739 0.5739 0.6203  2 Mn 1.97, 3 Li 2.14-2.18
O 0.7008 0.7008 0.8181  3 Mn 1.98-2.21, 2 Li 2.14
O 0.7195 0.7195 0.3313  2 Mn 1.96, 1 Li 2.16
O 0.8554 0.8554 0.5256  2 Mn 1.97, 3 Li 2.13-2.15
O 0.8630 0.8630 0.0453  2 Mn 1.94, 2 Li 2.13
O 0.9950 0.9950 0.2366  3 Mn 1.97-2.20, 3 Li 2.09-2.18

Output
volume: 260.05 Å³ per cell
symmetry: C2/m (12)
energy above the most stable polymorph in this dataset: 21 meV/atom
energy of formation: -2.1238 eV per atom
E: -6.41 eV per atom

---

Record 5
Li4Mn3O7 | GGA+U | relaxed

Lattice parameters (Å, degrees): 5.0913 5.9874 8.7827 89.38 86.04 76.61
Last column: nearest neighbours and their distance in Å.
Sites, in units of the cell vectors:
Li 0.0000 0.0000 0.0000  6 O 2.05-2.22
Li 0.0000 0.5000 0.0000  4 O 2.10-2.16
Li 0.1418 0.2041 0.7188  5 O 2.08-2.21
Li 0.2851 0.9297 0.4242  6 O 2.03-2.21
Li 0.4195 0.6477 0.1387  6 O 2.05-2.21
Li 0.5805 0.3523 0.8613  6 O 2.05-2.21
Li 0.7149 0.0703 0.5758  6 O 2.03-2.21
Li 0.8582 0.7959 0.2812  5 O 2.08-2.21
Mn 0.1342 0.7270 0.7200  4 O 1.92-2.02
Mn 0.2902 0.4260 0.4265  4 O 1.96-2.02
Mn 0.4352 0.1287 0.1392  6 O 1.90-2.06
Mn 0.5648 0.8713 0.8608  6 O 1.90-2.06
Mn 0.7098 0.5740 0.5735  4 O 1.96-2.02
Mn 0.8658 0.2730 0.2800  4 O 1.92-2.02
O 0.0120 0.2574 0.4857  2 Mn 1.96-1.99, 3 Li 2.17-2.19
O 0.1670 0.4269 0.2123  3 Mn 2.02-2.06, 2 Li 2.10-2.11
O 0.1679 0.9690 0.2073  1 Mn 1.90, 3 Li 2.03-2.12
O 0.2951 0.6858 0.9131  2 Mn 1.92-1.98, 1 Li 2.12
O 0.3176 0.1533 0.9332  2 Mn 1.94, 3 Li 2.05-2.13
O 0.4148 0.8963 0.6605  2 Mn 1.96-1.97, 2 Li 2.08-2.13
O 0.4354 0.4004 0.6287  2 Mn 1.96, 1 Li 2.18
O 0.5646 0.5996 0.3713  2 Mn 1.96, 1 Li 2.18
O 0.5852 0.1037 0.3395  2 Mn 1.96-1.97, 2 Li 2.08-2.13
O 0.6824 0.8467 0.0668  2 Mn 1.94, 3 Li 2.05-2.13
O 0.7049 0.3142 0.0869  2 Mn 1.92-1.98, 1 Li 2.12
O 0.8321 0.0310 0.7927  1 Mn 1.90, 3 Li 2.03-2.12
O 0.8330 0.5731 0.7877  3 Mn 2.02-2.06, 2 Li 2.10-2.11
O 0.9880 0.7426 0.5143  2 Mn 1.96-1.99, 3 Li 2.17-2.19

Output
volume: 259.83 Å³ per cell
symmetry: P-1 (2)
energy above the most stable polymorph in this dataset: 9 meV/atom
energy of formation: -2.1358 eV per atom
E: -6.42 eV per atom

---

Record 6
Li4Mn3O7 | GGA+U | relaxed

Lattice parameters (Å, degrees): 5.0774 5.2804 10.1882 96.12 101.50 102.30
Last column: nearest neighbours and their distance in Å.
Sites, in units of the cell vectors:
Li 0.0000 0.0000 0.0000  6 O 2.14-2.19
Li 0.0000 0.0000 0.5000  6 O 2.06-2.24
Li 0.1344 0.2899 0.2942  6 O 2.11-2.19
Li 0.2693 0.5882 0.5722  5 O 2.04-2.19
Li 0.4240 0.8681 0.8582  5 O 2.01-2.15
Li 0.5760 0.1319 0.1418  5 O 2.01-2.15
Li 0.7307 0.4118 0.4278  5 O 2.04-2.19
Li 0.8656 0.7101 0.7058  6 O 2.11-2.19
Mn 0.1423 0.2676 0.7777  4 O 1.93-1.99
Mn 0.2833 0.5744 0.0735  4 O 1.95-2.00
Mn 0.4315 0.8741 0.3621  6 O 1.89-2.03
Mn 0.5685 0.1259 0.6379  6 O 1.89-2.03
Mn 0.7167 0.4256 0.9265  4 O 1.95-2.00
Mn 0.8577 0.7324 0.2223  4 O 1.93-1.99
O 0.0664 0.6359 0.9037  2 Mn 1.95-1.96, 3 Li 2.13-2.19
O 0.0795 0.6520 0.3819  2 Mn 1.93-1.98, 3 Li 2.08-2.12
O 0.2070 0.9323 0.1934  2 Mn 1.96, 3 Li 2.14-2.19
O 0.2406 0.9306 0.6746  1 Mn 1.89, 4 Li 2.01-2.11
O 0.3669 0.2249 0.9545  2 Mn 1.96-1.99, 3 Li 2.13-2.15
O 0.3768 0.1816 0.4645  2 Mn 1.92-1.94, 3 Li 2.07-2.12
O 0.4974 0.5526 0.2576  3 Mn 1.99-2.03, 2 Li 2.18-2.19
O 0.5026 0.4474 0.7424  3 Mn 1.99-2.03, 2 Li 2.18-2.19
O 0.6232 0.8184 0.5355  2 Mn 1.92-1.94, 3 Li 2.07-2.12
O 0.6331 0.7751 0.0455  2 Mn 1.96-1.99, 3 Li 2.13-2.15
O 0.7594 0.0694 0.3254  1 Mn 1.89, 4 Li 2.01-2.11
O 0.7930 0.0677 0.8066  2 Mn 1.96, 3 Li 2.14-2.19
O 0.9205 0.3480 0.6181  2 Mn 1.93-1.98, 3 Li 2.08-2.12
O 0.9336 0.3641 0.0963  2 Mn 1.95-1.96, 3 Li 2.13-2.19

Output
volume: 258.34 Å³ per cell
symmetry: P-1 (2)
energy above the most stable polymorph in this dataset: 2 meV/atom
energy of formation: -2.1427 eV per atom
E: -6.42 eV per atom

---

Record 7
Li4Mn3O7 | GGA+U | relaxed

Lattice parameters (Å, degrees): 3.0055 7.8556 11.2993 80.77 83.26 83.56
Last column: nearest neighbours and their distance in Å.
Sites, in units of the cell vectors:
Li 0.0000 0.0000 0.0000  6 O 2.06-2.27
Li 0.0667 0.2160 0.6441  6 O 2.06-2.18
Li 0.1836 0.6605 0.9322  5 O 1.98-2.22
Li 0.3509 0.0778 0.2031  5 O 2.07-2.27
Li 0.5000 0.5000 0.5000  6 O 2.14-2.17
Li 0.6491 0.9222 0.7969  5 O 2.07-2.27
Li 0.8164 0.3395 0.0678  5 O 1.98-2.22
Li 0.9333 0.7840 0.3559  6 O 2.06-2.18
Mn 0.1325 0.4325 0.2850  4 O 1.94-1.99
Mn 0.2857 0.8572 0.5723  4 O 1.95-1.99
Mn 0.4360 0.2757 0.8629  6 O 1.83-2.05
Mn 0.5640 0.7243 0.1371  6 O 1.83-2.05
Mn 0.7143 0.1428 0.4277  4 O 1.95-1.99
Mn 0.8675 0.5675 0.7150  4 O 1.94-1.99
O 0.0018 0.8696 0.1729  2 Mn 1.95-1.97, 3 Li 2.06-2.13
O 0.0780 0.3222 0.4553  2 Mn 1.96-1.98, 3 Li 2.14-2.17
O 0.1325 0.5567 0.1169  3 Mn 1.99-2.05, 2 Li 2.11-2.22
O 0.2253 0.7482 0.7440  2 Mn 1.96-1.99, 3 Li 2.12-2.17
O 0.3528 0.9640 0.4007  2 Mn 1.95-1.98, 2 Li 2.15-2.18
O 0.3858 0.1920 0.0246  1 Mn 1.83, 2 Li 1.98-2.01
O 0.4952 0.3932 0.6894  2 Mn 1.94-2.03, 3 Li 2.15-2.17
O 0.5048 0.6068 0.3106  2 Mn 1.94-2.03, 3 Li 2.15-2.17
O 0.6142 0.8080 0.9754  1 Mn 1.83, 2 Li 1.98-2.01
O 0.6472 0.0360 0.5993  2 Mn 1.95-1.98, 2 Li 2.15-2.18
O 0.7747 0.2518 0.2560  2 Mn 1.96-1.99, 3 Li 2.12-2.17
O 0.8675 0.4433 0.8831  3 Mn 1.99-2.05, 2 Li 2.11-2.22
O 0.9220 0.6778 0.5447  2 Mn 1.96-1.98, 3 Li 2.14-2.17
O 0.9982 0.1304 0.8271  2 Mn 1.95-1.97, 3 Li 2.06-2.13

Output
volume: 260.31 Å³ per cell
symmetry: P-1 (2)
energy above the most stable polymorph in this dataset: 16 meV/atom
energy of formation: -2.1282 eV per atom
E: -6.41 eV per atom

---

Record 8
Li4Mn3O7 | GGA+U | relaxed

Lattice parameters (Å, degrees): 5.0676 6.4881 7.9949 85.49 81.71 83.14
Last column: nearest neighbours and their distance in Å.
Sites, in units of the cell vectors:
Li 0.0000 0.0000 0.0000  6 O 2.05-2.24
Li 0.0777 0.8558 0.3428  5 O 2.09-2.28
Li 0.2086 0.5733 0.0686  6 O 2.05-2.19
Li 0.3381 0.2792 0.7967  6 O 2.05-2.29
Li 0.5000 0.0000 0.5000  6 O 2.11-2.18
Li 0.6619 0.7208 0.2033  6 O 2.05-2.29
Li 0.7914 0.4267 0.9314  6 O 2.05-2.19
Li 0.9223 0.1442 0.6572  5 O 2.09-2.28
Mn 0.1315 0.7182 0.7271  5 O 1.92-2.15
Mn 0.2921 0.4280 0.4253  4 O 1.95-2.02
Mn 0.4363 0.1421 0.1319  6 O 1.88-2.05
Mn 0.5637 0.8579 0.8681  6 O 1.88-2.05
Mn 0.7079 0.5720 0.5747  4 O 1.95-2.02
Mn 0.8685 0.2818 0.2729  5 O 1.92-2.15
O 0.0184 0.4455 0.6780  2 Mn 1.95-2.01, 2 Li 2.09-2.13
O 0.1361 0.2760 0.0376  1 Mn 1.88, 3 Li 2.05
O 0.2002 0.1524 0.3630  3 Mn 1.99-2.05, 2 Li 2.11-2.12
O 0.2592 0.9811 0.7487  2 Mn 1.92-1.99, 2 Li 2.09-2.10
O 0.3491 0.8708 0.0889  2 Mn 1.93-1.94, 3 Li 2.05-2.16
O 0.4042 0.6966 0.4625  2 Mn 1.95, 2 Li 2.14-2.15
O 0.4458 0.5954 0.8260  2 Mn 1.94, 1 Li 2.13
O 0.5542 0.4046 0.1740  2 Mn 1.94, 1 Li 2.13
O 0.5958 0.3034 0.5375  2 Mn 1.95, 2 Li 2.14-2.15
O 0.6509 0.1292 0.9111  2 Mn 1.93-1.94, 3 Li 2.05-2.16
O 0.7408 0.0189 0.2513  2 Mn 1.92-1.99, 2 Li 2.09-2.10
O 0.7998 0.8476 0.6370  3 Mn 1.99-2.05, 2 Li 2.11-2.12
O 0.8639 0.7240 0.9624  1 Mn 1.88, 3 Li 2.05
O 0.9816 0.5545 0.3220  2 Mn 1.95-2.01, 2 Li 2.09-2.13

Output
volume: 257.76 Å³ per cell
symmetry: P-1 (2)
energy above the most stable polymorph in this dataset: 6 meV/atom
energy of formation: -2.1386 eV per atom
E: -6.42 eV per atom